## Li7TiFe3P6O24 (PBE+U)

Data for a relaxed structure of Li7TiFe3P6O24.

Calculated values
For the magnetization, the calculation gives 12.999 μB/cell. The value obtained for the total energy is -280.98 eV for the cell shown.

The structure in extended XYZ format:
```
41
Lattice="4.410 2.546 7.270 -4.410 2.546 7.270 0.000 -5.092 7.270" Properties=species:S:1:pos:R:3 pbc="T T T"
Li 0.000 0.000 0.000
Li -0.754 -2.935 9.159
Li -2.165 2.120 9.159
Li -1.999 -0.217 12.446
Li 1.187 -1.623 12.446
Li 0.812 1.840 12.446
Li 2.918 0.815 9.159
Ti 0.000 0.000 8.417
Fe 0.000 0.000 3.873
Fe 0.000 0.000 14.782
Fe 0.000 0.000 19.277
P -3.121 -0.311 9.730
P -1.282 -2.839 13.390
P 1.830 -2.547 9.730
P -1.818 2.530 13.390
P 1.291 2.858 9.730
P 3.100 0.310 13.390
O -1.074 -1.432 4.857
O -3.880 1.044 9.634
O -3.239 -1.028 11.080
O -2.814 -2.718 13.449
O -0.834 -1.483 7.425
O -0.704 1.646 4.857
O -1.594 0.071 9.589
O 1.036 -3.882 9.634
O -0.867 1.464 7.425
O 1.777 -0.214 4.857
O 0.736 -1.416 9.589
O -0.650 -1.398 13.426
O 1.701 0.019 7.425
O -1.636 0.000 15.811
O -0.886 1.262 13.426
O 0.859 1.345 9.589
O 2.510 -2.291 11.080
O 0.818 -1.417 15.811
O -0.947 3.796 13.449
O 1.536 0.136 13.426
O 0.729 3.319 11.080
O 0.818 1.417 15.811
O 2.844 2.838 9.634
O 3.760 -1.078 13.449
```